DFT (PBE) results for a geometry-optimized BaMgF4 structure.

Properties
ΔH_f (0 K)	-385	kJ per mole of atoms
piezoelectric modulus e_max	0.94	C/m2

abc: 4.1652 14.8664 5.9347
angles: 90.00 90.00 90.00
Space group Cmc2_1 (No. 36)
Inequivalent atoms, fractional coordinates:
Ba 0.0000 0.1504 0.0000 (multiplicity 4)
Mg 0.0000 0.4162 0.0422 (multiplicity 4)
F 0.0000 0.0784 0.5561 (multiplicity 4)
F 0.0000 0.3043 0.2317 (multiplicity 4)
F 0.0000 0.3377 0.7744 (multiplicity 4)
F 0.0000 0.4727 0.3584 (multiplicity 4)